No. 1
# K2Si3SnO10 | the Materials Project | PBE-GGA | optimized geometry
data_K2Si3SnO10
_chemical_formula_sum 'K8 Si12 Sn4 O40'
_cell_length_a 7.209
_cell_length_b 10.170
_cell_length_c 13.315
_cell_angle_alpha 90.00
_cell_angle_beta 90.00
_cell_angle_gamma 90.00
_space_group_name_H-M_alt 'P 1'
_space_group_IT_number 1
loop_
_space_group_symop_operation_xyz
'x,y,z'
loop_
_atom_site_label
_atom_site_type_symbol
_atom_site_fract_x
_atom_site_fract_y
_atom_site_fract_z
O1 O 0.221 0.480 0.563
O2 O 0.495 0.561 0.237
O3 O 0.625 0.847 0.575
O4 O 0.905 0.118 0.274
O5 O 0.875 0.153 0.075
O6 O 0.753 0.911 0.134
O7 O 0.555 0.799 0.316
O8 O 0.721 0.020 0.437
O9 O 0.747 0.089 0.634
O10 O 0.530 0.164 0.816
O11 O 0.505 0.061 0.263
O12 O 0.979 0.912 0.562
O13 O 0.445 0.299 0.184
O14 O 0.247 0.411 0.366
O15 O 0.703 0.399 0.850
O16 O 0.858 0.710 0.084
O17 O 0.779 0.980 0.937
O18 O 0.297 0.899 0.650
O19 O 0.970 0.836 0.316
O20 O 0.595 0.882 0.774
O21 O 0.479 0.588 0.438
O22 O 0.030 0.336 0.184
O23 O 0.095 0.618 0.226
O24 O 0.945 0.201 0.816
O25 O 0.021 0.412 0.938
O26 O 0.405 0.382 0.726
O27 O 0.358 0.790 0.916
O28 O 0.125 0.653 0.425
O29 O 0.642 0.290 0.584
O30 O 0.005 0.439 0.737
O31 O 0.203 0.101 0.150
O32 O 0.995 0.939 0.763
O33 O 0.470 0.664 0.684
O34 O 0.797 0.601 0.350
O35 O 0.055 0.701 0.684
O36 O 0.279 0.520 0.063
O37 O 0.375 0.347 0.925
O38 O 0.142 0.210 0.416
O39 O 0.521 0.088 0.062
O40 O 0.253 0.589 0.866
Si1 Si 0.922 0.359 0.832
Si2 Si 0.493 0.821 0.675
Si3 Si 0.234 0.471 0.951
Si4 Si 0.078 0.859 0.668
Si5 Si 0.007 0.179 0.175
Si6 Si 0.578 0.641 0.332
Si7 Si 0.422 0.141 0.168
Si8 Si 0.266 0.529 0.451
Si9 Si 0.734 0.029 0.049
Si10 Si 0.507 0.321 0.825
Si11 Si 0.993 0.679 0.325
Si12 Si 0.766 0.971 0.549
K1 K 0.217 0.067 0.918
K2 K 0.159 0.219 0.630
K3 K 0.841 0.719 0.870
K4 K 0.783 0.567 0.582
K5 K 0.659 0.281 0.370
K6 K 0.717 0.433 0.082
K7 K 0.341 0.781 0.130
K8 K 0.283 0.933 0.418
Sn1 Sn 0.743 0.951 0.291
Sn2 Sn 0.257 0.451 0.209
Sn3 Sn 0.757 0.049 0.791
Sn4 Sn 0.243 0.549 0.709
# Total DFT energy (no corrections)   -424.73 eV for the cell shown
# E_form   -2.567 eV/atom
# Spin magnetization   7.99 μB/cell

***

No. 2
# KMgP2H5O9 | the Materials Project | PBE-GGA | optimized geometry
data_KMgP2H5O9
_chemical_formula_sum 'K4 Mg4 P8 H20 O36'
_cell_length_a 8.740
_cell_length_b 9.071
_cell_length_c 9.662
_cell_angle_alpha 90.00
_cell_angle_beta 90.00
_cell_angle_gamma 90.00
_space_group_name_H-M_alt 'P 1'
_space_group_IT_number 1
loop_
_space_group_symop_operation_xyz
'x,y,z'
loop_
_atom_site_label
_atom_site_type_symbol
_atom_site_fract_x
_atom_site_fract_y
_atom_site_fract_z
H1 H 0.508 0.901 0.700
H2 H 0.305 0.197 0.377
H3 H 0.572 0.946 0.514
H4 H 0.072 0.446 0.986
H5 H 0.805 0.697 0.123
H6 H 0.008 0.099 0.300
H7 H 0.072 0.054 0.486
H8 H 0.079 0.586 0.087
H9 H 0.982 0.203 0.850
H10 H 0.079 0.914 0.587
H11 H 0.572 0.554 0.014
H12 H 0.508 0.599 0.200
H13 H 0.982 0.297 0.350
H14 H 0.305 0.303 0.877
H15 H 0.579 0.414 0.913
H16 H 0.482 0.703 0.650
H17 H 0.482 0.797 0.150
H18 H 0.008 0.401 0.800
H19 H 0.805 0.803 0.623
H20 H 0.579 0.086 0.413
O1 O 0.392 0.467 0.360
O2 O 0.517 0.621 0.716
O3 O 0.220 0.561 0.647
O4 O 0.028 0.685 0.806
O5 O 0.720 0.061 0.853
O6 O 0.321 0.095 0.344
O7 O 0.454 0.878 0.614
O8 O 0.821 0.595 0.156
O9 O 0.892 0.967 0.140
O10 O 0.764 0.786 0.892
O11 O 0.517 0.879 0.216
O12 O 0.528 0.315 0.194
O13 O 0.992 0.979 0.858
O14 O 0.892 0.533 0.640
O15 O 0.264 0.214 0.108
O16 O 0.017 0.121 0.784
O17 O 0.017 0.379 0.284
O18 O 0.720 0.439 0.353
O19 O 0.492 0.021 0.142
O20 O 0.764 0.714 0.392
O21 O 0.492 0.479 0.642
O22 O 0.644 0.493 0.950
O23 O 0.264 0.286 0.608
O24 O 0.992 0.521 0.358
O25 O 0.144 0.507 0.050
O26 O 0.954 0.378 0.886
O27 O 0.144 0.993 0.550
O28 O 0.392 0.033 0.860
O29 O 0.821 0.905 0.656
O30 O 0.454 0.622 0.114
O31 O 0.954 0.122 0.386
O32 O 0.644 0.007 0.450
O33 O 0.028 0.815 0.306
O34 O 0.528 0.185 0.694
O35 O 0.220 0.939 0.147
O36 O 0.321 0.405 0.844
P1 P 0.525 0.149 0.851
P2 P 0.317 0.076 0.178
P3 P 0.025 0.649 0.649
P4 P 0.817 0.924 0.822
P5 P 0.025 0.851 0.149
P6 P 0.525 0.351 0.351
P7 P 0.317 0.424 0.678
P8 P 0.817 0.576 0.322
K1 K 0.288 0.755 0.912
K2 K 0.288 0.745 0.412
K3 K 0.788 0.255 0.588
K4 K 0.788 0.245 0.088
Mg1 Mg 0.326 0.430 0.151
Mg2 Mg 0.326 0.070 0.651
Mg3 Mg 0.826 0.930 0.349
Mg4 Mg 0.826 0.570 0.849
# Total DFT energy (no corrections)   -401.34 eV for the cell shown
# E_form   -1.749 eV/atom
# Spin magnetization   0.00 μB/cell

***

No. 3
# ErMgRh2 | the Materials Project | PBE-GGA | optimized geometry
data_ErMgRh2
_chemical_formula_sum 'Er1 Mg1 Rh2'
_cell_length_a 4.625
_cell_length_b 4.625
_cell_length_c 4.625
_cell_angle_alpha 60.00
_cell_angle_beta 60.00
_cell_angle_gamma 60.00
_space_group_name_H-M_alt 'P 1'
_space_group_IT_number 1
loop_
_space_group_symop_operation_xyz
'x,y,z'
loop_
_atom_site_label
_atom_site_type_symbol
_atom_site_fract_x
_atom_site_fract_y
_atom_site_fract_z
Mg1 Mg 0.000 0.000 0.000
Er1 Er 0.500 0.500 0.500
Rh1 Rh 0.250 0.250 0.250
Rh2 Rh 0.750 0.750 0.750
# Total DFT energy (no corrections)   -23.92 eV for the cell shown
# E_form   -0.756 eV/atom

***

No. 4
# TbFeGe2 | the Materials Project | PBE-GGA | optimized geometry
data_TbFeGe2
_chemical_formula_sum 'Tb2 Fe2 Ge4'
_cell_length_a 8.421
_cell_length_b 8.421
_cell_length_c 4.304
_cell_angle_alpha 90.00
_cell_angle_beta 90.00
_cell_angle_gamma 151.31
_space_group_name_H-M_alt 'P 1'
_space_group_IT_number 1
loop_
_space_group_symop_operation_xyz
'x,y,z'
loop_
_atom_site_label
_atom_site_type_symbol
_atom_site_fract_x
_atom_site_fract_y
_atom_site_fract_z
Tb1 Tb 0.893 0.107 0.250
Tb2 Tb 0.107 0.893 0.750
Ge1 Ge 0.747 0.253 0.750
Ge2 Ge 0.456 0.544 0.750
Ge3 Ge 0.253 0.747 0.250
Ge4 Ge 0.544 0.456 0.250
Fe1 Fe 0.316 0.684 0.750
Fe2 Fe 0.684 0.316 0.250
# Total DFT energy (no corrections)   -48.45 eV for the cell shown
# E_form   -0.469 eV/atom
# Spin magnetization   2.05 μB/cell

***

No. 5
# HfZrSb2Rh2 | the Materials Project | PBE-GGA | optimized geometry
data_HfZrSb2Rh2
_chemical_formula_sum 'Hf1 Zr1 Sb2 Rh2'
_cell_length_a 7.909
_cell_length_b 7.909
_cell_length_c 7.909
_cell_angle_alpha 34.00
_cell_angle_beta 34.00
_cell_angle_gamma 34.00
_space_group_name_H-M_alt 'P 1'
_space_group_IT_number 1
loop_
_space_group_symop_operation_xyz
'x,y,z'
loop_
_atom_site_label
_atom_site_type_symbol
_atom_site_fract_x
_atom_site_fract_y
_atom_site_fract_z
Sb1 Sb 0.501 0.501 0.501
Sb2 Sb 0.998 0.998 0.998
Rh1 Rh 0.252 0.252 0.252
Rh2 Rh 0.748 0.748 0.748
Zr1 Zr 0.125 0.125 0.125
Hf1 Hf 0.626 0.626 0.626
# Total DFT energy (no corrections)   -42.69 eV for the cell shown
# E_form   -0.201 eV/atom
# Spin magnetization   0.00 μB/cell

***

Q: What is the total DFT energy (no corrections) in the fourth record?
A: -48.45 eV for the cell shown

***

Q: Which formula does entry 3 have?
A: ErMgRh2

***

Please write out number 3 again, unchanged.
# ErMgRh2 | the Materials Project | PBE-GGA | optimized geometry
data_ErMgRh2
_chemical_formula_sum 'Er1 Mg1 Rh2'
_cell_length_a 4.625
_cell_length_b 4.625
_cell_length_c 4.625
_cell_angle_alpha 60.00
_cell_angle_beta 60.00
_cell_angle_gamma 60.00
_space_group_name_H-M_alt 'P 1'
_space_group_IT_number 1
loop_
_space_group_symop_operation_xyz
'x,y,z'
loop_
_atom_site_label
_atom_site_type_symbol
_atom_site_fract_x
_atom_site_fract_y
_atom_site_fract_z
Mg1 Mg 0.000 0.000 0.000
Er1 Er 0.500 0.500 0.500
Rh1 Rh 0.250 0.250 0.250
Rh2 Rh 0.750 0.750 0.750
# Total DFT energy (no corrections)   -23.92 eV for the cell shown
# E_form   -0.756 eV/atom

***

Please write out number 3 again, unchanged.
# ErMgRh2 | the Materials Project | PBE-GGA | optimized geometry
data_ErMgRh2
_chemical_formula_sum 'Er1 Mg1 Rh2'
_cell_length_a 4.625
_cell_length_b 4.625
_cell_length_c 4.625
_cell_angle_alpha 60.00
_cell_angle_beta 60.00
_cell_angle_gamma 60.00
_space_group_name_H-M_alt 'P 1'
_space_group_IT_number 1
loop_
_space_group_symop_operation_xyz
'x,y,z'
loop_
_atom_site_label
_atom_site_type_symbol
_atom_site_fract_x
_atom_site_fract_y
_atom_site_fract_z
Mg1 Mg 0.000 0.000 0.000
Er1 Er 0.500 0.500 0.500
Rh1 Rh 0.250 0.250 0.250
Rh2 Rh 0.750 0.750 0.750
# Total DFT energy (no corrections)   -23.92 eV for the cell shown
# E_form   -0.756 eV/atom